Entry 1:
The following is a r²SCAN calculation of a geometry-optimized K3P6N11 structure, from Materials Project.

Lattice parameters (Å, degrees): 10.3930 10.3930 10.3930 90.00 90.00 90.00
With the nearest neighbours (Å) after each atom.
Fractional coordinates of all 80 atoms:
K: 0.0009 0.4991 0.5009  6 N 2.76-2.98
K: 0.1250 0.6250 0.8750  8 N 3.09-3.28
K: 0.2491 0.2509 0.7491  6 N 2.76-2.98
K: 0.2509 0.7491 0.2491  6 N 2.76-2.98
K: 0.3750 0.3750 0.3750  8 N 3.09-3.28
K: 0.4991 0.5009 0.0009  6 N 2.76-2.98
K: 0.5009 0.0009 0.4991  6 N 2.76-2.98
K: 0.6250 0.8750 0.1250  8 N 3.09-3.28
K: 0.7491 0.2491 0.2509  6 N 2.76-2.98
K: 0.7509 0.7509 0.7509  6 N 2.76-2.98
K: 0.8750 0.1250 0.6250  8 N 3.09-3.28
K: 0.9991 0.9991 0.9991  6 N 2.76-2.98
P: 0.0336 0.8221 0.5514  4 N 1.58-1.71
P: 0.0514 0.4664 0.1779  4 N 1.58-1.71
P: 0.0721 0.2164 0.3014  4 N 1.58-1.71
P: 0.1779 0.0514 0.4664  4 N 1.58-1.71
P: 0.1986 0.9279 0.7164  4 N 1.58-1.71
P: 0.2164 0.3014 0.0721  4 N 1.58-1.71
P: 0.2836 0.6986 0.5721  4 N 1.58-1.71
P: 0.3014 0.0721 0.2164  4 N 1.58-1.71
P: 0.3221 0.9486 0.9664  4 N 1.58-1.71
P: 0.4279 0.7836 0.8014  4 N 1.58-1.71
P: 0.4486 0.5336 0.6779  4 N 1.58-1.71
P: 0.4664 0.1779 0.0514  4 N 1.58-1.71
P: 0.5336 0.6779 0.4486  4 N 1.58-1.71
P: 0.5514 0.0336 0.8221  4 N 1.58-1.71
P: 0.5721 0.2836 0.6986  4 N 1.58-1.71
P: 0.6779 0.4486 0.5336  4 N 1.58-1.71
P: 0.6986 0.5721 0.2836  4 N 1.58-1.71
P: 0.7164 0.1986 0.9279  4 N 1.58-1.71
P: 0.7836 0.8014 0.4279  4 N 1.58-1.71
P: 0.8014 0.4279 0.7836  4 N 1.58-1.71
P: 0.8221 0.5514 0.0336  4 N 1.58-1.71
P: 0.9279 0.7164 0.1986  4 N 1.58-1.71
P: 0.9486 0.9664 0.3221  4 N 1.58-1.71
P: 0.9664 0.3221 0.9486  4 N 1.58-1.71
N: 0.0137 0.3551 0.2786  2 P 1.58-1.61
N: 0.0286 0.6051 0.2363  2 P 1.58-1.61
N: 0.0464 0.9536 0.4536  3 P 1.71
N: 0.0527 0.8750 0.6973  2 P 1.62
N: 0.1051 0.2637 0.9714  2 P 1.58-1.61
N: 0.1250 0.1973 0.4473  2 P 1.62
N: 0.1449 0.7214 0.5137  2 P 1.58-1.61
N: 0.1973 0.4473 0.1250  2 P 1.62
N: 0.2036 0.2036 0.2036  3 P 1.71
N: 0.2214 0.9863 0.8551  2 P 1.58-1.61
N: 0.2363 0.0286 0.6051  2 P 1.58-1.61
N: 0.2637 0.9714 0.1051  2 P 1.58-1.61
N: 0.2786 0.0137 0.3551  2 P 1.58-1.61
N: 0.2964 0.7964 0.7036  3 P 1.71
N: 0.3027 0.5527 0.6250  2 P 1.62
N: 0.3551 0.2786 0.0137  2 P 1.58-1.61
N: 0.3750 0.8027 0.9473  2 P 1.62
N: 0.3949 0.7363 0.4714  2 P 1.58-1.61
N: 0.4473 0.1250 0.1973  2 P 1.62
N: 0.4536 0.0464 0.9536  3 P 1.71
N: 0.4714 0.3949 0.7363  2 P 1.58-1.61
N: 0.4863 0.6449 0.7786  2 P 1.58-1.61
N: 0.5137 0.1449 0.7214  2 P 1.58-1.61
N: 0.5286 0.8949 0.7637  2 P 1.58-1.61
N: 0.5464 0.5464 0.5464  3 P 1.71
N: 0.5527 0.6250 0.3027  2 P 1.62
N: 0.6051 0.2363 0.0286  2 P 1.58-1.61
N: 0.6250 0.3027 0.5527  2 P 1.62
N: 0.6449 0.7786 0.4863  2 P 1.58-1.61
N: 0.6973 0.0527 0.8750  2 P 1.62
N: 0.7036 0.2964 0.7964  3 P 1.71
N: 0.7214 0.5137 0.1449  2 P 1.58-1.61
N: 0.7363 0.4714 0.3949  2 P 1.58-1.61
N: 0.7637 0.5286 0.8949  2 P 1.58-1.61
N: 0.7786 0.4863 0.6449  2 P 1.58-1.61
N: 0.7964 0.7036 0.2964  3 P 1.71
N: 0.8027 0.9473 0.3750  2 P 1.62
N: 0.8551 0.2214 0.9863  2 P 1.58-1.61
N: 0.8750 0.6973 0.0527  2 P 1.62
N: 0.8949 0.7637 0.5286  2 P 1.58-1.61
N: 0.9473 0.3750 0.8027  2 P 1.62
N: 0.9536 0.4536 0.0464  3 P 1.71
N: 0.9714 0.1051 0.2637  2 P 1.58-1.61
N: 0.9863 0.8551 0.2214  2 P 1.58-1.61

Computed properties:
Final energy, eV for the cell shown: -755.6
Spin magnetization, μB/f.u.: 0.00

***

Entry 2:
The following is a r²SCAN calculation of a geometry-optimized SmAu structure, from Materials Project.

Lattice parameters (Å, degrees): 3.6494 3.6494 3.6494 90.00 90.00 90.00
With the nearest neighbours (Å) after each atom.
Fractional coordinates of all 2 atoms:
Sm: 0.0000 0.0000 0.0000  8 Au 3.16
Au: 0.5000 0.5000 0.5000  8 Sm 3.16

Computed properties:
Final energy, eV for the cell shown: -82.1
Spin magnetization, μB/f.u.: 0.00

***

Entry 3:
The following is a r²SCAN calculation of a geometry-optimized NbSiPd structure, from Materials Project.

Lattice parameters (Å, degrees): 6.4837 3.7574 7.4649 90.00 90.00 90.00
With the nearest neighbours (Å) after each atom.
Fractional coordinates of all 12 atoms:
Nb: 0.0271 0.2500 0.1634  5 Si 2.70-2.76, 5 Pd 2.92-3.00
Nb: 0.4729 0.7500 0.6634  5 Si 2.70-2.76, 5 Pd 2.92-3.00
Nb: 0.5271 0.2500 0.3366  5 Si 2.70-2.76, 5 Pd 2.92-3.00
Nb: 0.9729 0.7500 0.8366  5 Si 2.70-2.76, 5 Pd 2.92-3.00
Si: 0.2300 0.7500 0.3697  4 Pd 2.42-2.50, 3 Nb 2.70
Si: 0.2700 0.2500 0.8697  4 Pd 2.42-2.50, 3 Nb 2.70
Si: 0.7300 0.7500 0.1303  4 Pd 2.42-2.50, 3 Nb 2.70
Si: 0.7700 0.2500 0.6303  4 Pd 2.42-2.50, 3 Nb 2.70
Pd: 0.1480 0.2500 0.5628  4 Si 2.42-2.50
Pd: 0.3520 0.7500 0.0628  4 Si 2.42-2.50
Pd: 0.6480 0.2500 0.9372  4 Si 2.42-2.50
Pd: 0.8520 0.7500 0.4372  4 Si 2.42-2.50

Computed properties:
Final energy, eV for the cell shown: -234.3
Spin magnetization, μB/f.u.: 0.00

***

Entry 4:
The following is a r²SCAN calculation of a geometry-optimized LiFeF4 structure, from Materials Project.

Lattice parameters (Å, degrees): 4.4773 11.4196 4.7823 90.00 90.00 90.00
With the nearest neighbours (Å) after each atom.
Fractional coordinates of all 24 atoms:
Li: 0.0000 0.0577 0.2500  6 F 1.94-2.03
Li: 0.0000 0.9423 0.7500  6 F 1.94-2.03
Li: 0.5000 0.4423 0.7500  6 F 1.94-2.03
Li: 0.5000 0.5577 0.2500  6 F 1.94-2.03
Fe: 0.0000 0.3262 0.2500  6 F 1.86-2.02
Fe: 0.0000 0.6738 0.7500  6 F 1.86-2.02
Fe: 0.5000 0.1738 0.7500  6 F 1.86-2.02
Fe: 0.5000 0.8262 0.2500  6 F 1.86-2.02
F: 0.2313 0.1926 0.0765  2 Fe 1.98-2.02, 1 Li 2.03
F: 0.2313 0.8074 0.5765  2 Fe 1.98-2.02, 1 Li 2.03
F: 0.2479 0.0646 0.5818  1 Fe 1.86, 2 Li 1.94-1.96
F: 0.2479 0.9354 0.0818  1 Fe 1.86, 2 Li 1.94-1.96
F: 0.2521 0.4354 0.0818  1 Fe 1.86, 2 Li 1.94-1.96
F: 0.2521 0.5646 0.5818  1 Fe 1.86, 2 Li 1.94-1.96
F: 0.2687 0.3074 0.5765  2 Fe 1.98-2.02, 1 Li 2.03
F: 0.2687 0.6926 0.0765  2 Fe 1.98-2.02, 1 Li 2.03
F: 0.7313 0.3074 0.9235  2 Fe 1.98-2.02, 1 Li 2.03
F: 0.7313 0.6926 0.4235  2 Fe 1.98-2.02, 1 Li 2.03
F: 0.7479 0.4354 0.4182  1 Fe 1.86, 2 Li 1.94-1.96
F: 0.7479 0.5646 0.9182  1 Fe 1.86, 2 Li 1.94-1.96
F: 0.7521 0.0646 0.9182  1 Fe 1.86, 2 Li 1.94-1.96
F: 0.7521 0.9354 0.4182  1 Fe 1.86, 2 Li 1.94-1.96
F: 0.7687 0.1926 0.4235  2 Fe 1.98-2.02, 1 Li 2.03
F: 0.7687 0.8074 0.9235  2 Fe 1.98-2.02, 1 Li 2.03

Computed properties:
Energy above the lowest structure with this stoichiometry, eV/atom: 0.000
Final energy, eV for the cell shown: -184.2
Spin magnetization, μB/f.u.: 5.00

***

Entry 5:
The following is a r²SCAN calculation of a geometry-optimized KYb3 structure, from Materials Project.

Lattice parameters (Å, degrees): 5.7405 5.7405 5.7405 60.00 60.00 60.00
With the nearest neighbours (Å) after each atom.
Fractional coordinates of all 4 atoms:
K: 0.0000 0.0000 0.0000  8 Yb 3.52
Yb: 0.2500 0.2500 0.2500  4 K 3.52, 4 Yb 3.52
Yb: 0.5000 0.5000 0.5000  8 Yb 3.52
Yb: 0.7500 0.7500 0.7500  4 K 3.52, 4 Yb 3.52

Computed properties:
Energy above the lowest structure with this stoichiometry, eV/atom: 0.046
Final energy, eV for the cell shown: -113.1
Spin magnetization, μB/f.u.: 0.82

***

Entry 6:
The following is a r²SCAN calculation of a geometry-optimized Li2YbIn structure, from Materials Project.

Lattice parameters (Å, degrees): 4.7568 4.7568 4.7568 60.00 60.00 60.00
With the nearest neighbours (Å) after each atom.
Fractional coordinates of all 4 atoms:
Li: 0.2500 0.2500 0.2500  4 In 2.91, 4 Yb 2.91
Li: 0.7500 0.7500 0.7500  4 In 2.91, 4 Yb 2.91
Yb: 0.0000 0.0000 0.0000  8 Li 2.91
In: 0.5000 0.5000 0.5000  8 Li 2.91

Computed properties:
Final energy, eV for the cell shown: -65.3
Spin magnetization, μB/f.u.: 0.00